Compound: SnCl2
Source: Materials Project
Functional: r2SCAN
Structure: optimized geometry

```
data_SnCl2
_cell_length_a 9.630
_cell_length_b 4.325
_cell_length_c 15.984
_cell_angle_alpha 90.00
_cell_angle_beta 90.05
_cell_angle_gamma 90.00
_symmetry_space_group_name_H-M 'P 1 21/c 1'
_symmetry_Int_Tables_number 14
loop_
_symmetry_equiv_pos_as_xyz
'x,y,z'
'-x,-y,-z'
'-x,y+1/2,-z+1/2'
'x,-y+1/2,z+1/2'
loop_
_atom_site_label
_atom_site_type_symbol
_atom_site_fract_x
_atom_site_fract_y
_atom_site_fract_z
Sn1 Sn 0.062 0.240 0.114
Sn2 Sn 0.438 0.247 0.864
Cl1 Cl 0.079 0.249 0.323
Cl2 Cl 0.147 0.748 0.490
Cl3 Cl 0.353 0.749 0.740
Cl4 Cl 0.421 0.249 0.572
```

Results
Crystal system   monoclinic
Magnetization   0.00 Bohr magnetons per cell
Electronic total energy   -321.7 eV per cell
ΔE_f   -1055 meV per atom